VASP calculation (PBE) on a geometry-optimized Ta3Os2 structure.

Cell lengths 14.041, 14.047, 5.074 Å; angles 90.00, 90.00, 90.00 degrees
Space group Cmm2 (No. 35)
Unique sites:
Ta 0.000 0.101 0.000 x4
Ta 0.000 0.318 0.747 x4
Ta 0.000 0.319 0.248 x4
Ta 0.103 0.500 0.495 x4
Ta 0.168 0.203 0.996 x8
Ta 0.181 0.000 0.245 x4
Ta 0.204 0.333 0.496 x8
Os 0.000 0.000 0.514 x2
Os 0.000 0.500 0.995 x2
Os 0.096 0.161 0.497 x8
Os 0.164 0.406 0.997 x8
Os 0.182 0.000 0.747 x4

VASP calculation (PBE) on a geometry-optimized TaTe4Os structure.

Computed properties:
**Total magnetic moment**: 0.0 μB/f.u.

Cell lengths 3.773, 12.568, 13.757 Å; angles 90.00, 90.00, 90.00 degrees
Space group Pmn2_1 (No. 31)
Unique sites:
Ta 0.000 0.060 0.000 x2
Ta 0.000 0.276 0.484 x2
Te 0.000 0.066 0.390 x2
Te 0.000 0.197 0.848 x2
Te 0.000 0.347 0.085 x2
Te 0.000 0.417 0.632 x2
Te 0.000 0.565 0.394 x2
Te 0.000 0.676 0.842 x2
Te 0.000 0.849 0.096 x2
Te 0.000 0.892 0.641 x2
Os 0.000 0.546 0.997 x2
Os 0.000 0.764 0.483 x2

VASP calculation (PBE) on a geometry-optimized TaTiOs2 structure.

Cell lengths 6.292, 6.292, 6.292 Å; angles 90.00, 90.00, 90.00 degrees
Space group Fm-3m (No. 225)
Unique sites:
Ta 0.000 0.000 0.000 x4
Ti 0.000 0.000 0.500 x4
Os 0.250 0.250 0.250 x8

VASP calculation (PBE) on a geometry-optimized TmTaOs2 structure.

Cell lengths 6.527, 6.527, 6.527 Å; angles 90.00, 90.00, 90.00 degrees
Space group Fm-3m (No. 225)
Unique sites:
Tm 0.000 0.000 0.000 x4
Ta 0.000 0.000 0.500 x4
Os 0.250 0.250 0.250 x8

VASP calculation (PBE) on a geometry-optimized Ta2VOs structure.

Cell lengths 6.341, 6.341, 6.341 Å; angles 90.00, 90.00, 90.00 degrees
Space group Fm-3m (No. 225)
Unique sites:
Ta 0.250 0.250 0.250 x8
V 0.000 0.000 0.000 x4
Os 0.000 0.000 0.500 x4

VASP calculation (PBE) on a geometry-optimized Ta2OsW structure.

Cell lengths 6.429, 6.429, 6.429 Å; angles 90.00, 90.00, 90.00 degrees
Space group Fm-3m (No. 225)
Unique sites:
Ta 0.250 0.250 0.250 x8
Os 0.000 0.000 0.000 x4
W 0.000 0.000 0.500 x4

VASP calculation (PBE) on a geometry-optimized Ti2TcOs structure.

Cell lengths 6.202, 6.202, 6.202 Å; angles 90.00, 90.00, 90.00 degrees
Space group Fm-3m (No. 225)
Unique sites:
Ti 0.250 0.250 0.250 x8
Tc 0.000 0.000 0.000 x4
Os 0.000 0.000 0.500 x4

VASP calculation (PBE) on a geometry-optimized V2TcOs structure.

Cell lengths 6.047, 6.047, 6.047 Å; angles 90.00, 90.00, 90.00 degrees
Space group Fm-3m (No. 225)
Unique sites:
V 0.250 0.250 0.250 x8
Tc 0.000 0.000 0.000 x4
Os 0.000 0.000 0.500 x4

In order of appearance, formation energy from the elements = -0.329, -0.238, -0.492, -0.322, -0.332, -0.299, -0.635, -0.348 eV per atom.
In order of appearance, theoretical density = 18.382, 8.976, 16.244, 17.448, 15.711, 18.395, 10.690, 11.720 g/cm3.